This record from the Materials Project database describes a relaxed Tb5Ge3C crystal. The functional is GGA-PBE.

Computed properties:
As for the calculated density: 8.28 g cm⁻³. The formation energy comes out at -711 meV/atom.

Cell: 8.5458 8.5458 6.4964 Å, 90.00 90.00 120.00°
With the nearest neighbours (Å) after each atom.
Fractional coordinates of all 18 atoms:
Tb 0.0000 0.2225 0.2500  2 C 2.50
Tb 0.0000 0.7775 0.7500  2 C 2.50
Tb 0.2225 0.0000 0.2500  2 C 2.50
Tb 0.2225 0.2225 0.7500  2 C 2.50
Tb 0.3333 0.6667 0.0000  6 Ge 3.06, 2 Tb 3.25
Tb 0.3333 0.6667 0.5000  6 Ge 3.06, 2 Tb 3.25
Tb 0.6667 0.3333 0.0000  6 Ge 3.06, 2 Tb 3.25
Tb 0.6667 0.3333 0.5000  6 Ge 3.06, 2 Tb 3.25
Tb 0.7775 0.0000 0.7500  2 C 2.50
Tb 0.7775 0.7775 0.2500  2 C 2.50
Ge 0.0000 0.4083 0.7500  7 Tb 3.03-3.16
Ge 0.0000 0.5917 0.2500  7 Tb 3.03-3.16
Ge 0.4083 0.0000 0.7500  7 Tb 3.03-3.16
Ge 0.4083 0.4083 0.2500  7 Tb 3.03-3.16
Ge 0.5917 0.0000 0.2500  7 Tb 3.03-3.16
Ge 0.5917 0.5917 0.7500  7 Tb 3.03-3.16
C 0.0000 0.0000 0.0000  6 Tb 2.50
C 0.0000 0.0000 0.5000  6 Tb 2.50